DFT (GGA-PBE) results for a relaxed LiAg2F6 crystal.

## Properties
Uncorrected energy: -64.3 eV for the cell shown
DFT formation energy: -1.761 eV/atom
Excess energy over the best structure of this formula in the dataset: 1.8 kJ per mole of atoms

Structure (POSCAR):
```
LiAg2F6
1.0
4.9199 0.0000 0.0000
0.0000 4.9199 0.0000
0.0000 0.0000 10.2324
Li Ag F
2 4 12
Cartesian
0.0000 2.4599 2.5355 Li
2.4599 0.0000 7.6968 Li
0.0000 2.4599 5.9861 Ag
0.0000 2.4599 9.3796 Ag
2.4599 0.0000 0.8527 Ag
2.4599 0.0000 4.2463 Ag
0.9633 3.4232 0.8128 F
0.9760 3.4360 4.2829 F
0.9900 3.4500 7.7037 F
1.4699 0.9900 2.5287 F
1.4839 0.9760 5.9495 F
1.4966 0.9633 9.4196 F
3.4232 3.9566 9.4196 F
3.4360 3.9439 5.9495 F
3.4500 3.9298 2.5287 F
3.9298 1.4699 7.7037 F
3.9439 1.4839 4.2829 F
3.9566 1.4966 0.8128 F
```